! Sc3In, optimized geometry, DFT GGA-PBE; values from VASP
&SYSTEM
  ibrav = 0, nat = 8, ntyp = 2
/
ATOMIC_SPECIES
Sc 44.96 Sc.upf
In 114.82 In.upf
CELL_PARAMETERS angstrom
6.4214 0.0000 0.0000
-3.2107 5.5611 0.0000
0.0000 0.0000 5.2265
ATOMIC_POSITIONS angstrom
Sc 0.0000 1.8712 1.3066
Sc -1.5901 4.6254 1.3066
Sc 1.6205 0.9356 3.9199
Sc 1.5901 4.6254 1.3066
Sc 4.8008 0.9356 3.9199
Sc 3.2107 3.6898 3.9199
In 0.0000 3.7074 3.9199
In 3.2107 1.8537 1.3066
! Density ... 4.443 g/cm³
! E_form ... -0.30 eV per atom
! Calculated volume ... 187 Å³ per cell